[1]
CuAs2H3OF13: optimized geometry, PBE-GGA.

Output
Uncorrected energy, eV per cell: -356.74
Formation energy from the elements, eV per atom: -2.122
Symmetry: No. 62
M_tot, μB/cell: 4.25

Lattice parameters (Å, degrees): 14.6400 7.0168 10.7051 90.00 90.00 90.00
Sites, in units of the cell vectors:
F 0.1701 0.4279 0.6328
F 0.5218 0.7500 0.7668
H 0.1541 0.8711 0.5826
F 0.3971 0.9309 0.8739
F 0.2387 0.7500 0.2902
F 0.1228 0.4304 0.8621
O 0.6451 0.7500 0.9678
F 0.5916 0.0694 0.3626
F 0.0916 0.0694 0.1374
F 0.5314 0.2500 0.7972
Cu 0.0000 0.5000 0.0000
F 0.4084 0.9306 0.6374
F 0.9782 0.2500 0.2668
H 0.6541 0.6289 0.9174
H 0.3459 0.3711 0.0826
F 0.2165 0.2500 0.2409
F 0.3772 0.5696 0.3621
F 0.1029 0.0691 0.3739
F 0.8971 0.9309 0.6261
F 0.3772 0.9304 0.3621
H 0.9150 0.2500 0.5077
Cu 0.5000 0.0000 0.5000
As 0.0983 0.2500 0.2618
F 0.0916 0.4306 0.1374
F 0.9084 0.5694 0.8626
Cu 0.5000 0.5000 0.5000
H 0.3459 0.1289 0.0826
H 0.8459 0.3711 0.4174
F 0.9548 0.2500 0.9887
F 0.7613 0.2500 0.7098
F 0.0452 0.7500 0.0113
As 0.4017 0.7500 0.7618
F 0.4782 0.2500 0.2332
F 0.4686 0.7500 0.2028
O 0.3549 0.2500 0.0322
O 0.1451 0.7500 0.5322
F 0.1701 0.0721 0.6328
Cu 0.0000 0.0000 0.0000
H 0.0850 0.7500 0.4923
F 0.8772 0.5696 0.1379
F 0.0218 0.7500 0.7332
F 0.6228 0.0696 0.6379
F 0.3299 0.9279 0.1328
F 0.6701 0.4279 0.8672
H 0.6541 0.8711 0.9174
F 0.4084 0.5694 0.6374
As 0.9017 0.7500 0.7382
F 0.8299 0.5721 0.3672
F 0.1029 0.4309 0.3739
H 0.4150 0.2500 0.9923
F 0.2613 0.2500 0.7902
F 0.6029 0.4309 0.1261
F 0.5916 0.4306 0.3626
F 0.3971 0.5691 0.8739
As 0.8534 0.7500 0.2505
As 0.3534 0.7500 0.2495
As 0.5983 0.2500 0.2382
O 0.8549 0.2500 0.4678
F 0.4548 0.2500 0.5113
H 0.8459 0.1289 0.4174
F 0.1228 0.0696 0.8621
F 0.5452 0.7500 0.4887
F 0.7165 0.2500 0.2591
As 0.6466 0.2500 0.7505
F 0.0314 0.2500 0.7028
F 0.2835 0.7500 0.7409
F 0.3299 0.5721 0.1328
H 0.5850 0.7500 0.0077
As 0.1466 0.2500 0.7495
F 0.8971 0.5691 0.6261
F 0.7835 0.7500 0.7591
F 0.9686 0.7500 0.2972
F 0.6228 0.4304 0.6379
F 0.8772 0.9304 0.1379
F 0.7387 0.7500 0.2098
F 0.6029 0.0691 0.1261
F 0.6701 0.0721 0.8672
H 0.1541 0.6289 0.5826
F 0.9084 0.9306 0.8626
F 0.8299 0.9279 0.3672

=====

[2]
CeB2Os2: optimized geometry, PBE-GGA.

Output
Uncorrected energy, eV per cell: -88.29
Formation energy from the elements, eV per atom: -0.480
Symmetry: No. 70

Lattice parameters (Å, degrees): 6.7512 6.0276 5.5870 70.96 57.56 51.47
Sites, in units of the cell vectors:
B 0.5649 0.9351 0.5649
Ce 0.2500 0.2500 0.2500
B 0.9351 0.5649 0.9351
Os 0.8878 0.8878 0.6122
B 0.3149 0.6851 0.3149
B 0.6851 0.3149 0.6851
Os 0.6378 0.6378 0.3622
Ce 0.0000 0.0000 0.0000
Os 0.3622 0.3622 0.6378
Os 0.6122 0.6122 0.8878

=====

[3]
LiCuO2: optimized geometry, PBE-GGA.

Output
Uncorrected energy, eV per cell: -40.49
Formation energy from the elements, eV per atom: -1.429
Symmetry: No. 58
M_tot, μB/cell: 0.00

Lattice parameters (Å, degrees): 2.7562 5.1494 5.3381 90.00 90.00 90.00
Sites, in units of the cell vectors:
Li 0.5000 0.5000 0.0000
O 0.0000 0.1964 0.8564
Cu 0.0000 0.5000 0.5000
O 0.5000 0.3036 0.3564
Cu 0.5000 0.0000 0.0000
Li 0.0000 0.0000 0.5000
O 0.0000 0.8036 0.1436
O 0.5000 0.6964 0.6436

=====

[4]
Na3NbAl3P5SO24: optimized geometry, PBE-GGA.

Output
Uncorrected energy, eV per cell: -788.59
Formation energy from the elements, eV per atom: -2.813
Symmetry: No. 1
M_tot, μB/cell: 0.00

Lattice parameters (Å, degrees): 8.5299 8.5140 21.8963 89.74 90.10 119.97
Sites, in units of the cell vectors:
Al 0.0017 0.0015 0.3525
P 0.2900 0.0000 0.2501
O 0.9691 0.1745 0.3050
P 0.0516 0.3726 0.9194
P 0.0588 0.6745 0.4144
O 0.6968 0.5318 0.2440
Al 0.9950 0.0014 0.6471
O 0.5308 0.6993 0.9729
P 0.9578 0.6222 0.0888
O 0.1883 0.1652 0.0932
P 0.6263 0.6792 0.9181
O 0.1461 0.6450 0.0782
O 0.1692 0.1959 0.6914
O 0.3629 0.5002 0.3574
O 0.0291 0.8382 0.4075
O 0.1324 0.4904 0.8605
O 0.3118 0.4714 0.7546
O 0.4917 0.1309 0.6376
O 0.1467 0.5074 0.5754
Na 0.6708 0.3374 0.3270
O 0.3580 0.8611 0.5780
O 0.8386 0.8139 0.5907
Nb 0.3279 0.6661 0.8098
O 0.1642 0.4684 0.2558
S 0.9999 0.2874 0.2497
O 0.8673 0.3645 0.6408
O 0.8643 0.5038 0.4216
Na 0.9891 0.0002 0.9995
O 0.1724 0.9716 0.1926
O 0.1347 0.6359 0.3577
O 0.5365 0.8328 0.4741
S 0.7131 0.7128 0.2502
Na 0.3336 0.6600 0.1680
O 0.2014 0.1658 0.8070
Na 0.3034 0.9689 0.0862
Al 0.3342 0.6576 0.5181
O 0.8242 0.7968 0.3052
O 0.1646 0.6955 0.7540
O 0.5128 0.6412 0.8581
P 0.3230 0.3830 0.4141
O 0.6351 0.5080 0.6435
Al 0.0017 0.9988 0.1480
O 0.8324 0.0371 0.8074
Al 0.3341 0.6727 0.3135
P 0.9644 0.3365 0.5871
O 0.4957 0.1390 0.9231
P 0.6220 0.9403 0.4158
Na 0.9849 0.0003 0.5008
P 0.3738 0.3394 0.0876
O 0.4937 0.3545 0.4226
Na 0.3222 0.6622 0.6606
O 0.8387 0.0221 0.0951
O 0.9798 0.1654 0.5914
O 0.4533 0.1484 0.5275
O 0.8121 0.9697 0.4065
P 0.9939 0.7189 0.7476
S 0.3740 0.0404 0.5852
O 0.7024 0.1594 0.0287
O 0.3097 0.8285 0.2566
O 0.2017 0.0289 0.3078
O 0.1650 0.4671 0.9748
O 0.8378 0.3080 0.2434
O 0.5302 0.6919 0.2563
P 0.6655 0.6296 0.5875
O 0.4992 0.8689 0.3596
Al 0.3340 0.6625 0.0210
Al 0.6584 0.3264 0.1849
Al 0.6741 0.3375 0.6867
O 0.4980 0.8547 0.0765
O 0.6276 0.1281 0.1404
O 0.8624 0.4973 0.1423
Na 0.6364 0.6367 0.7466
O 0.1624 0.1882 0.4071
O 0.3019 0.8391 0.9771
O 0.8391 0.5371 0.0295
P 0.7264 0.0155 0.7488
Na 0.3342 0.0317 0.4117
O 0.0284 0.8326 0.6909
O 0.3579 0.5063 0.0763
O 0.0266 0.2024 0.1952
O 0.8128 0.8424 0.9091
P 0.2838 0.2708 0.7480
O 0.6956 0.1759 0.7405
O 0.9619 0.7992 0.8056
P 0.3209 0.9488 0.9196
Nb 0.6784 0.3429 0.4784
O 0.0301 0.1872 0.9099
O 0.2974 0.4626 0.4729
O 0.4792 0.3060 0.7416
Na 0.6665 0.3212 0.8300
O 0.4962 0.6447 0.5765
Al 0.0009 0.0019 0.8531
O 0.1565 0.9686 0.9095
O 0.6398 0.1353 0.4242
O 0.9785 0.8125 0.0934
O 0.6930 0.5319 0.5300
O 0.8615 0.3574 0.9229
O 0.7954 0.8259 0.1955
O 0.8414 0.3046 0.5282
P 0.6698 0.0377 0.0876
O 0.6427 0.5043 0.9235
O 0.1718 0.7059 0.4723
O 0.5301 0.8398 0.7559
O 0.1947 0.0240 0.5902
O 0.4970 0.3678 0.1418
O 0.8286 0.5256 0.7420
O 0.7979 0.9645 0.6932
O 0.3568 0.8638 0.8620
Nb 0.6684 0.3343 0.9802
O 0.4600 0.2971 0.0298
O 0.4805 0.1719 0.2430

=====

[5]
Na2Al2Si3O14: optimized geometry, PBE-GGA.

Output
Uncorrected energy, eV per cell: -282.83
Formation energy from the elements, eV per atom: -2.285
Symmetry: No. 43
M_tot, μB/cell: 8.00

Lattice parameters (Å, degrees): 13.3899 10.2204 9.8736 83.55 49.33 47.12
Sites, in units of the cell vectors:
O 0.0362 0.8240 0.4136
O 0.3712 0.7094 0.8280
O 0.8364 0.5239 0.2138
O 0.7261 0.4136 0.8240
O 0.0913 0.8280 0.7094
O 0.1141 0.2599 0.4430
Al 0.4892 0.9349 0.8225
O 0.5754 0.4754 0.2897
Si 0.2581 0.9265 0.8238
O 0.4220 0.1587 0.8788
Al 0.7534 0.8225 0.9349
Na 0.1488 0.4282 0.9339
O 0.6595 0.2897 0.4754
O 0.6284 0.0622 0.9410
O 0.8710 0.7826 0.9911
Si 0.7527 0.2473 0.2473
O 0.9901 0.1359 0.0670
Si 0.9916 0.8238 0.9265
O 0.9603 0.5905 0.6746
Al 0.3151 0.7608 0.4966
O 0.5846 0.0797 0.4792
Si 0.4262 0.2584 0.9919
O 0.4260 0.2138 0.5239
O 0.3090 0.8816 0.6216
Al 0.4275 0.4966 0.7608
Si 0.0027 0.4973 0.4973
Si 0.3235 0.9919 0.2584
O 0.4674 0.3790 0.8947
Na 0.4891 0.9339 0.4282
O 0.8070 0.0670 0.1359
O 0.5406 0.8788 0.1587
O 0.1830 0.4430 0.2599
O 0.7746 0.6746 0.5905
Na 0.3161 0.7609 0.1012
O 0.2589 0.8947 0.3790
O 0.3553 0.9911 0.7826
O 0.3684 0.9410 0.0622
O 0.7708 0.3935 0.6654
Na 0.8218 0.1012 0.7609
O 0.1703 0.6654 0.3935
O 0.8565 0.4792 0.0797
O 0.1878 0.6216 0.8816

=====

[6]
Tb2In8Co: optimized geometry, PBE-GGA.

Output
Uncorrected energy, eV per cell: -41.71
Formation energy from the elements, eV per atom: -0.302
Symmetry: No. 123
M_tot, μB/cell: 0.11

Lattice parameters (Å, degrees): 4.6400 4.6400 12.0261 90.00 90.00 90.00
Sites, in units of the cell vectors:
Tb 0.0000 0.0000 0.6940
Tb 0.0000 0.0000 0.3060
Co 0.0000 0.0000 0.0000
In 0.5000 0.0000 0.5000
In 0.5000 0.5000 0.6952
In 0.5000 0.0000 0.1193
In 0.0000 0.5000 0.5000
In 0.0000 0.5000 0.8807
In 0.5000 0.5000 0.3048
In 0.0000 0.5000 0.1193
In 0.5000 0.0000 0.8807

=====

[7]
Ba2CdReO6: optimized geometry, PBE-GGA.

Output
Uncorrected energy, eV per cell: -67.43
Formation energy from the elements, eV per atom: -2.466
Symmetry: No. 225
M_tot, μB/cell: 1.00

Lattice parameters (Å, degrees): 5.9801 5.9801 5.9801 60.00 60.00 60.00
Sites, in units of the cell vectors:
O 0.2705 0.7295 0.7295
Ba 0.2500 0.2500 0.2500
Ba 0.7500 0.7500 0.7500
O 0.2705 0.2705 0.7295
Cd 0.0000 0.0000 0.0000
Re 0.5000 0.5000 0.5000
O 0.7295 0.2705 0.2705
O 0.7295 0.2705 0.7295
O 0.2705 0.7295 0.2705
O 0.7295 0.7295 0.2705

=====

[8]
FeSi2N3: optimized geometry, PBE-GGA.

Output
Uncorrected energy, eV per cell: -95.40
Formation energy from the elements, eV per atom: -0.743
Symmetry: No. 36
M_tot, μB/cell: 6.00

Lattice parameters (Å, degrees): 5.3965 5.4014 4.8055 90.00 90.00 120.03
Sites, in units of the cell vectors:
Si 0.3336 0.3241 0.4999
Fe 0.0000 0.6049 0.4769
N 0.3966 0.0531 0.3626
N 0.0000 0.7619 0.8861
N 0.6034 0.6566 0.3626
Fe 0.0000 0.3951 0.9769
Si 0.6664 0.9905 0.4999
N 0.3966 0.3434 0.8626
Si 0.3336 0.0095 0.9999
Si 0.6664 0.6759 0.9999
N 0.0000 0.2381 0.3861
N 0.6034 0.9469 0.8626

=====

[9]
ThIr5: optimized geometry, PBE-GGA.

Output
Uncorrected energy, eV per cell: -54.28
Formation energy from the elements, eV per atom: -0.446
Symmetry: No. 191

Lattice parameters (Å, degrees): 5.3397 5.3397 4.3661 90.00 90.00 120.00
Sites, in units of the cell vectors:
Th 0.0000 0.0000 0.0000
Ir 0.5000 0.0000 0.5000
Ir 0.6667 0.3333 0.0000
Ir 0.5000 0.5000 0.5000
Ir 0.0000 0.5000 0.5000
Ir 0.3333 0.6667 0.0000

=====

[10]
Sc5Ge3N9: optimized geometry, PBE-GGA.

Output
Uncorrected energy, eV per cell: -534.15
Formation energy from the elements, eV per atom: -0.955
Symmetry: No. 64
M_tot, μB/cell: 0.00

Lattice parameters (Å, degrees): 7.6298 11.2552 15.1898 90.00 90.00 137.53
Sites, in units of the cell vectors:
N 0.5437 0.3331 0.3605
N 0.2841 0.9965 0.0212
N 0.4563 0.6669 0.6395
Ge 0.0000 0.7453 0.5453
Sc 0.0000 0.4684 0.5984
Sc 0.0000 0.9975 0.6270
Ge 0.0000 0.2547 0.4547
Sc 0.5291 0.2646 0.0000
N 0.7406 0.4867 0.7962
N 0.7406 0.7539 0.2962
Sc 0.4709 0.7354 0.0000
Ge 0.0000 0.7143 0.7546
N 0.4563 0.1669 0.8605
N 0.2594 0.5133 0.2038
Sc 0.5291 0.7646 0.5000
N 0.4563 0.7894 0.3605
N 0.7406 0.9867 0.7038
N 0.5437 0.2106 0.6395
N 0.5437 0.8331 0.1395
Ge 0.0000 0.2453 0.9547
Sc 0.3841 0.9546 0.8921
N 0.7159 0.7124 0.0212
Ge 0.5000 0.2633 0.7500
N 0.0000 0.1105 0.5126
N 0.7159 0.2124 0.4788
Ge 0.0000 0.2857 0.2454
N 0.2594 0.2461 0.7038
N 0.0000 0.3118 0.6482
N 0.7406 0.2539 0.2038
Sc 0.6159 0.5454 0.3921
Sc 0.4709 0.2354 0.5000
N 0.0000 0.1882 0.1482
N 0.0000 0.6882 0.3518
Sc 0.0000 0.5025 0.1270
Ge 0.0000 0.2143 0.7454
N 0.7159 0.0035 0.9788
N 0.0000 0.6105 0.9874
Ge 0.5000 0.2367 0.2500
N 0.0000 0.8041 0.6576
Ge 0.5000 0.7633 0.7500
N 0.0000 0.3041 0.8424
N 0.2841 0.7876 0.5212
Sc 0.0000 0.5316 0.4016
N 0.0000 0.8118 0.8518
Ge 0.0000 0.7857 0.2546
Sc 0.3841 0.4295 0.1079
Sc 0.3841 0.4546 0.6079
Sc 0.0000 0.0025 0.3730
N 0.5437 0.7106 0.8605
Sc 0.0000 0.4975 0.8730
N 0.2594 0.0133 0.2962
N 0.2594 0.7461 0.7962
Ge 0.5000 0.7367 0.2500
N 0.2841 0.2876 0.9788
Ge 0.0000 0.7547 0.0453
N 0.0000 0.3895 0.0126
Sc 0.3841 0.9295 0.3921
N 0.0000 0.8895 0.4874
N 0.7159 0.5035 0.5212
Sc 0.0000 0.0316 0.0984
Sc 0.6159 0.0454 0.1079
N 0.2841 0.4965 0.4788
Sc 0.6159 0.0705 0.6079
Sc 0.0000 0.9684 0.9016
N 0.0000 0.6959 0.1576
N 0.0000 0.1959 0.3424
N 0.4563 0.2894 0.1395
Sc 0.6159 0.5705 0.8921

=====

Which of these has the highest uncorrected energy?
LiCuO2

=====

Which formula does entry 3 have?
LiCuO2